Record 1
# PBE Ba3DyB3O9, relaxed
# * calculated formation energy: -3.301 eV/atom
# * crystal system: hexagonal
data_Ba3DyB3O9
_chemical_formula_sum 'Ba18 Dy6 B18 O54'
_cell_length_a 9.5215
_cell_length_b 9.5215
_cell_length_c 17.9488
_cell_angle_alpha 90.00
_cell_angle_beta 90.00
_cell_angle_gamma 120.00
_space_group_name_H-M_alt 'P 63 c m'
_space_group_IT_number 185
_space_group_name_Hall 'P 6c -2'
loop_
_atom_site_label
_atom_site_fract_x
_atom_site_fract_y
_atom_site_fract_z
Ba1 0.0000 0.0000 0.0000
Ba2 0.0000 0.3198 0.1505
Ba3 0.0000 0.3462 0.9111
Ba4 0.3333 0.6667 0.0543
Dy1 0.0000 0.0000 0.2841
Dy2 0.3333 0.6667 0.2787
B1 0.0000 0.3271 0.3564
B2 0.0000 0.3330 0.5298
B3 0.0000 0.3388 0.7022
O1 0.0000 0.1820 0.3652
O2 0.0000 0.1933 0.7114
O3 0.0000 0.4798 0.5293
O4 0.1458 0.4727 0.3521
O5 0.1464 0.4840 0.6975
O6 0.1466 0.3332 0.5303

***

Record 2
# PBE MgTi3S6, relaxed
# * energy above the most stable polymorph in this dataset: 0.70 eV per formula unit
# * calculated formation energy: -1.514 eV/atom
# * crystal system: triclinic
data_MgTi3S6
_chemical_formula_sum 'Mg1 Ti3 S6'
_cell_length_a 3.474
_cell_length_b 3.474
_cell_length_c 20.009
_cell_angle_alpha 89.61
_cell_angle_beta 89.60
_cell_angle_gamma 60.01
_space_group_name_H-M_alt 'P 1'
_space_group_IT_number 1
loop_
_space_group_symop_operation_xyz
'x,y,z'
loop_
_atom_site_label
_atom_site_fract_x
_atom_site_fract_y
_atom_site_fract_z
Mg1 0.000 0.000 0.000
Ti1 0.337 0.337 0.843
Ti2 0.340 0.332 0.544
Ti3 0.340 0.341 0.194
S1 0.005 0.005 0.778
S2 0.007 0.011 0.474
S3 0.009 0.009 0.120
S4 0.669 0.669 0.928
S5 0.670 0.674 0.614
S6 0.671 0.672 0.262

***

Record 3
# PBE Cu2P2O7, relaxed
# * energy above the most stable polymorph in this dataset: 0.04 eV per formula unit
# * calculated formation energy: -2.025 eV/atom
# * crystal system: monoclinic
data_Cu2P2O7
_chemical_formula_sum 'Cu4 P4 O14'
_cell_length_a 7.117
_cell_length_b 8.224
_cell_length_c 4.665
_cell_angle_alpha 90.00
_cell_angle_beta 111.08
_cell_angle_gamma 90.00
_space_group_name_H-M_alt 'C 1 2/m 1'
_space_group_IT_number 12
loop_
_space_group_symop_operation_xyz
'x,y,z'
'-x,-y,-z'
'-x,y,-z'
'x,-y,z'
'x+1/2,y+1/2,z'
'-x+1/2,-y+1/2,-z'
'-x+1/2,y+1/2,-z'
'x+1/2,-y+1/2,z'
loop_
_atom_site_label
_atom_site_fract_x
_atom_site_fract_y
_atom_site_fract_z
Cu1 0.000 0.188 0.000
P1 0.195 0.500 0.410
O1 0.000 0.500 0.500
O2 0.123 0.000 0.279
O3 0.198 0.345 0.231